Record 1
MgV2Cu2O6 | PBE with a Hubbard U | optimized geometry

a b c (Å): 5.972 6.017 5.867
angles (deg): 52.47 51.52 51.20
Fractional coordinates of all 11 atoms:
Mg1 0.500 0.500 0.500
V1 0.676 0.691 0.682
V2 0.324 0.309 0.317
Cu1 0.916 0.905 0.923
Cu2 0.084 0.095 0.077
O1 0.310 0.908 0.559
O2 0.896 0.555 0.325
O3 0.555 0.305 0.917
O4 0.690 0.092 0.441
O5 0.445 0.695 0.083
O6 0.104 0.445 0.675

Values from the calculation:
Formation enthalpy at 0 K: -2007 meV/atom
Distance to the lowest polymorph of the same formula: 0 meV per atom
Raw total energy: -72.2 eV/cell
Total magnetization: 2.0 μB per formula unit
Space-group type: P-1

Record 2
MgV2Cu2O6 | PBE with a Hubbard U | optimized geometry

a b c (Å): 5.901 5.750 5.801
angles (deg): 53.88 54.07 52.30
Fractional coordinates of all 11 atoms:
Mg1 0.707 0.714 0.720
V1 0.509 0.522 0.540
V2 0.328 0.365 0.322
Cu1 0.966 0.915 0.930
Cu2 0.088 0.128 0.115
O1 0.344 0.922 0.561
O2 0.936 0.555 0.325
O3 0.592 0.314 0.922
O4 0.700 0.150 0.454
O5 0.439 0.717 0.148
O6 0.141 0.460 0.713

Values from the calculation:
Formation enthalpy at 0 K: -1998 meV/atom
Distance to the lowest polymorph of the same formula: 8 meV per atom
Raw total energy: -72.1 eV/cell
Total magnetization: 2.0 μB per formula unit
Space-group type: P1

Record 3
MgV4Cu3O12 | PBE with a Hubbard U | optimized geometry

a b c (Å): 6.374 6.369 6.383
angles (deg): 109.00 109.65 109.73
Fractional coordinates of all 20 atoms:
Mg1 0.000 0.000 0.000
V1 0.000 0.000 0.500
V2 0.000 0.500 0.000
V3 0.500 0.500 0.500
V4 0.500 0.000 0.000
Cu1 0.500 0.500 0.000
Cu2 0.000 0.500 0.500
Cu3 0.500 0.000 0.500
O1 0.826 0.301 0.126
O2 0.174 0.699 0.874
O3 0.822 0.701 0.524
O4 0.294 0.474 0.171
O5 0.480 0.181 0.304
O6 0.124 0.826 0.305
O7 0.696 0.876 0.172
O8 0.520 0.819 0.696
O9 0.178 0.299 0.476
O10 0.706 0.526 0.829
O11 0.876 0.174 0.695
O12 0.304 0.124 0.828

Values from the calculation:
Formation enthalpy at 0 K: -1990 meV/atom
Distance to the lowest polymorph of the same formula: 0 meV per atom
Raw total energy: -134.4 eV/cell
Total magnetization: 3.0 μB per formula unit
Space-group type: P-1